Entry 1:
A plane-wave DFT calculation with PBE with a Hubbard U was carried out for an optimized crystal structure of Li4Fe2O5.

Cell: 5.2571 8.5346 11.1985 Å, 71.24 90.00 90.00°
Fractional positions:
Li (0.1226, 0.1217, 0.0032)
Li (0.3242, 0.4998, 0.4122)
Li (0.4770, 0.9914, 0.1151)
Li (0.3366, 0.8860, 0.3252)
Li (0.8366, 0.1140, 0.1748)
Li (0.6226, 0.8783, 0.4968)
Li (0.9770, 0.0086, 0.3849)
Li (0.1758, 0.4998, 0.9122)
Li (0.8242, 0.5002, 0.0878)
Li (0.0230, 0.9914, 0.6151)
Li (0.3774, 0.1217, 0.5032)
Li (0.1634, 0.8860, 0.8252)
Li (0.6634, 0.1140, 0.6748)
Li (0.5230, 0.0086, 0.8849)
Li (0.6758, 0.5002, 0.5878)
Li (0.8774, 0.8783, 0.9968)
Fe (0.6692, 0.3081, 0.8824)
Fe (0.1692, 0.6919, 0.6176)
Fe (0.8308, 0.3081, 0.3824)
Fe (0.3308, 0.6919, 0.1176)
Fe (0.8298, 0.7067, 0.2879)
Fe (0.6702, 0.7067, 0.7879)
Fe (0.3298, 0.2933, 0.2121)
Fe (0.1702, 0.2933, 0.7121)
O (0.3015, 0.2964, 0.8733)
O (0.1981, 0.7004, 0.2767)
O (0.2864, 0.4960, 0.5886)
O (0.7864, 0.5040, 0.9114)
O (0.7114, 0.9013, 0.3125)
O (0.7491, 0.1017, 0.0042)
O (0.8015, 0.7036, 0.6267)
O (0.2491, 0.8983, 0.4958)
O (0.2114, 0.0987, 0.1875)
O (0.3019, 0.7004, 0.7767)
O (0.6981, 0.2996, 0.2233)
O (0.7886, 0.9013, 0.8125)
O (0.7509, 0.1017, 0.5042)
O (0.1985, 0.2964, 0.3733)
O (0.2509, 0.8983, 0.9958)
O (0.2886, 0.0987, 0.6875)
O (0.2136, 0.4960, 0.0886)
O (0.7136, 0.5040, 0.4114)
O (0.8019, 0.2996, 0.7233)
O (0.6985, 0.7036, 0.1267)

Summary:
Energy relative to the elements   -1.94 eV/atom

=====

Entry 2:
A plane-wave DFT calculation with PBE with a Hubbard U was carried out for an optimized crystal structure of Mn5As2O16.

Cell: 16.8023 5.2376 6.5409 Å, 79.98 90.00 90.00°
Fractional positions:
Mn (0.0000, 0.0000, 0.0000)
Mn (0.5000, 0.0000, 0.5000)
Mn (0.0671, 0.5291, 0.8170)
Mn (0.5671, 0.4709, 0.6830)
Mn (0.9329, 0.4709, 0.1830)
Mn (0.4329, 0.5291, 0.3170)
Mn (0.1295, 0.0331, 0.6733)
Mn (0.6295, 0.9669, 0.8267)
Mn (0.8705, 0.9669, 0.3267)
Mn (0.3705, 0.0331, 0.1733)
As (0.1286, 0.6263, 0.3240)
As (0.6286, 0.3737, 0.1760)
As (0.8714, 0.3737, 0.6760)
As (0.3714, 0.6263, 0.8240)
O (0.0428, 0.6561, 0.1455)
O (0.5428, 0.3439, 0.3545)
O (0.9572, 0.3439, 0.8545)
O (0.4572, 0.6561, 0.6455)
O (0.0953, 0.3933, 0.5308)
O (0.5953, 0.6067, 0.9692)
O (0.9047, 0.6067, 0.4692)
O (0.4047, 0.3933, 0.0308)
O (0.1299, 0.9186, 0.4046)
O (0.6299, 0.0814, 0.0954)
O (0.8701, 0.0814, 0.5954)
O (0.3701, 0.9186, 0.9046)
O (0.2041, 0.5511, 0.1769)
O (0.7041, 0.4489, 0.3231)
O (0.7959, 0.4489, 0.8231)
O (0.2959, 0.5511, 0.6769)
O (0.0214, 0.8683, 0.7462)
O (0.5214, 0.1317, 0.7538)
O (0.9786, 0.1317, 0.2538)
O (0.4786, 0.8683, 0.2462)
O (0.1011, 0.1724, 0.9221)
O (0.6011, 0.8276, 0.5779)
O (0.8989, 0.8276, 0.0779)
O (0.3989, 0.1724, 0.4221)
O (0.1639, 0.7173, 0.8111)
O (0.6639, 0.2827, 0.6889)
O (0.8361, 0.2827, 0.1889)
O (0.3361, 0.7173, 0.3111)
O (0.2648, 0.1307, 0.1597)
O (0.7648, 0.8693, 0.3403)
O (0.7352, 0.8693, 0.8403)
O (0.2352, 0.1307, 0.6597)

Summary:
Energy relative to the elements   -1.39 eV/atom

=====

Entry 3:
A plane-wave DFT calculation with PBE with a Hubbard U was carried out for an optimized crystal structure of Fe10O9F11.

Cell: 15.5670 4.7471 4.7651 Å, 88.07 90.00 90.00°
Fractional positions:
Fe (0.0000, 0.0098, 0.9905)
Fe (0.2064, 0.9730, 0.0130)
Fe (0.4003, 0.9576, 0.9888)
Fe (0.5997, 0.9576, 0.9888)
Fe (0.7936, 0.9730, 0.0130)
Fe (0.0943, 0.5100, 0.4859)
Fe (0.5000, 0.5409, 0.4934)
Fe (0.2980, 0.5449, 0.5011)
Fe (0.7020, 0.5449, 0.5011)
Fe (0.9057, 0.5100, 0.4859)
O (0.3006, 0.8047, 0.8053)
O (0.5000, 0.8019, 0.8034)
O (0.6994, 0.8047, 0.8053)
O (0.0000, 0.7074, 0.2899)
O (0.1948, 0.6862, 0.3154)
O (0.3990, 0.6934, 0.3080)
O (0.6010, 0.6934, 0.3080)
O (0.8052, 0.6862, 0.3154)
O (0.0000, 0.3031, 0.6932)
F (0.0981, 0.8050, 0.8020)
F (0.9019, 0.8050, 0.8020)
F (0.1961, 0.2978, 0.7051)
F (0.3991, 0.3031, 0.7000)
F (0.6009, 0.3031, 0.7000)
F (0.8039, 0.2978, 0.7051)
F (0.0997, 0.1952, 0.1904)
F (0.5000, 0.1929, 0.1921)
F (0.3013, 0.2012, 0.2037)
F (0.9003, 0.1952, 0.1904)
F (0.6987, 0.2012, 0.2037)

Summary:
Energy relative to the elements   -2.06 eV/atom

=====

Entry 4:
A plane-wave DFT calculation with PBE with a Hubbard U was carried out for an optimized crystal structure of MgV2Fe4O8.

Cell: 5.9500 6.2218 6.0307 Å, 62.30 59.90 66.13°
Fractional positions:
Mg (0.1250, 0.6250, 0.1250)
V (0.1250, 0.6250, 0.6250)
V (0.6250, 0.6250, 0.1250)
Fe (0.0230, 0.0939, 0.9516)
Fe (0.2270, 0.1561, 0.2984)
Fe (0.6250, 0.1250, 0.6250)
Fe (0.6250, 0.6250, 0.6250)
O (0.3501, 0.4032, 0.3687)
O (0.4196, 0.8145, 0.3840)
O (0.3329, 0.3966, 0.8729)
O (0.8551, 0.3889, 0.3726)
O (0.3949, 0.8611, 0.8774)
O (0.8304, 0.4355, 0.8660)
O (0.9171, 0.8534, 0.3771)
O (0.8999, 0.8468, 0.8813)

Summary:
Energy relative to the elements   -1.80 eV/atom

=====

Entry 5:
A plane-wave DFT calculation with PBE with a Hubbard U was carried out for an optimized crystal structure of Ni3P4O14.

Cell: 6.3412 8.5087 9.9933 Å, 108.55 93.17 91.89°
Fractional positions:
Ni (0.0000, 0.5000, 0.5000)
Ni (0.2991, 0.8967, 0.6307)
Ni (0.3544, 0.8792, 0.0603)
Ni (0.5000, 0.5000, 0.0000)
Ni (0.6456, 0.1208, 0.9397)
Ni (0.7009, 0.1033, 0.3693)
P (0.1583, 0.2010, 0.0060)
P (0.1878, 0.1757, 0.3030)
P (0.2715, 0.5501, 0.7234)
P (0.4810, 0.7476, 0.3169)
P (0.5190, 0.2524, 0.6831)
P (0.7285, 0.4499, 0.2766)
P (0.8122, 0.8243, 0.6970)
P (0.8417, 0.7990, 0.9940)
O (0.0478, 0.8589, 0.0824)
O (0.0140, 0.0830, 0.3521)
O (0.0575, 0.4486, 0.6785)
O (0.0980, 0.2130, 0.1636)
O (0.2360, 0.3713, 0.0062)
O (0.2250, 0.3464, 0.4154)
O (0.2644, 0.6614, 0.6289)
O (0.3130, 0.8134, 0.4189)
O (0.3298, 0.6349, 0.8809)
O (0.3227, 0.1333, 0.6432)
O (0.3308, 0.0707, 0.9665)
O (0.4100, 0.7056, 0.1583)
O (0.3904, 0.0819, 0.2641)
O (0.4606, 0.4290, 0.6701)
O (0.5394, 0.5710, 0.3299)
O (0.6096, 0.9181, 0.7359)
O (0.5900, 0.2944, 0.8417)
O (0.6692, 0.9293, 0.0335)
O (0.6773, 0.8667, 0.3568)
O (0.6702, 0.3651, 0.1191)
O (0.6870, 0.1866, 0.5811)
O (0.7356, 0.3386, 0.3711)
O (0.7750, 0.6536, 0.5846)
O (0.7640, 0.6287, 0.9938)
O (0.9020, 0.7870, 0.8364)
O (0.9425, 0.5514, 0.3215)
O (0.9860, 0.9170, 0.6479)
O (0.9522, 0.1411, 0.9176)

Summary:
Energy relative to the elements   -2.10 eV/atom

=====

Entry 6:
A plane-wave DFT calculation with PBE with a Hubbard U was carried out for an optimized crystal structure of CsV3Se2O12.

Cell: 7.1918 7.1918 12.2911 Å, 90.00 90.00 120.00°
Fractional positions:
Cs (0.6667, 0.3333, 0.4721)
Cs (0.3333, 0.6667, 0.9721)
V (0.8732, 0.6672, 0.7943)
V (0.7939, 0.1268, 0.7943)
V (0.6672, 0.7939, 0.2943)
V (0.1268, 0.3328, 0.2943)
V (0.3328, 0.2061, 0.7943)
V (0.2061, 0.8732, 0.2943)
Se (0.0000, 0.0000, 0.5828)
Se (0.6667, 0.3333, 0.0088)
Se (0.3333, 0.6667, 0.5088)
Se (0.0000, 0.0000, 0.0828)
O (0.2494, 0.1234, 0.3234)
O (0.1260, 0.2494, 0.8234)
O (0.1234, 0.8740, 0.8234)
O (0.8766, 0.1260, 0.3234)
O (0.8740, 0.7506, 0.3234)
O (0.7506, 0.8766, 0.8234)
O (0.4574, 0.9164, 0.2704)
O (0.5409, 0.4574, 0.7704)
O (0.9164, 0.4591, 0.7704)
O (0.0836, 0.5409, 0.2704)
O (0.4591, 0.5426, 0.2704)
O (0.5426, 0.0836, 0.7704)
O (0.7989, 0.2117, 0.9506)
O (0.5871, 0.7989, 0.4506)
O (0.2117, 0.4129, 0.4506)
O (0.7883, 0.5871, 0.9506)
O (0.4129, 0.2011, 0.9506)
O (0.2011, 0.7883, 0.4506)
O (0.8784, 0.1316, 0.6426)
O (0.7467, 0.8784, 0.1426)
O (0.1316, 0.2533, 0.1426)
O (0.8684, 0.7467, 0.6426)
O (0.2533, 0.1216, 0.6426)
O (0.1216, 0.8684, 0.1426)

Summary:
Energy relative to the elements   -1.99 eV/atom

=====

Entry 7:
A plane-wave DFT calculation with PBE with a Hubbard U was carried out for an optimized crystal structure of MoH8S2N2O2.

Cell: 6.8910 6.8910 9.6201 Å, 66.94 66.94 64.82°
Fractional positions:
Mo (0.0834, 0.9166, 0.7500)
Mo (0.9166, 0.0834, 0.2500)
H (0.7947, 0.7232, 0.7141)
H (0.2768, 0.2053, 0.7859)
H (0.2053, 0.2768, 0.2859)
H (0.7232, 0.7947, 0.2141)
H (0.7940, 0.7130, 0.5389)
H (0.2870, 0.2060, 0.9611)
H (0.2060, 0.2870, 0.4611)
H (0.7130, 0.7940, 0.0389)
H (0.8798, 0.4721, 0.6765)
H (0.5279, 0.1202, 0.8235)
H (0.1202, 0.5279, 0.3235)
H (0.4721, 0.8798, 0.1765)
H (0.6064, 0.6362, 0.7086)
H (0.3638, 0.3936, 0.7914)
H (0.3936, 0.3638, 0.2914)
H (0.6362, 0.6064, 0.2086)
S (0.2528, 0.7277, 0.9387)
S (0.2723, 0.7472, 0.5613)
S (0.7472, 0.2723, 0.0613)
S (0.7277, 0.2528, 0.4387)
N (0.7690, 0.6354, 0.6592)
N (0.3646, 0.2310, 0.8408)
N (0.2310, 0.3646, 0.3408)
N (0.6354, 0.7690, 0.1592)
O (0.0970, 0.1975, 0.6767)
O (0.8025, 0.9030, 0.8233)
O (0.9030, 0.8025, 0.3233)
O (0.1975, 0.0970, 0.1767)

Summary:
Energy relative to the elements   -0.72 eV/atom

=====

Entry 8:
A plane-wave DFT calculation with PBE with a Hubbard U was carried out for an optimized crystal structure of MgFe2Ni2O6.

Cell: 5.7950 5.7950 5.7950 Å, 52.60 52.60 52.60°
Fractional positions:
Mg (0.0000, 0.0000, 0.0000)
Fe (0.1757, 0.1757, 0.1757)
Fe (0.8243, 0.8243, 0.8243)
Ni (0.3595, 0.3595, 0.3595)
Ni (0.6405, 0.6405, 0.6405)
O (0.0542, 0.7785, 0.4153)
O (0.5847, 0.9458, 0.2215)
O (0.2215, 0.5847, 0.9458)
O (0.7785, 0.4153, 0.0542)
O (0.4153, 0.0542, 0.7785)
O (0.9458, 0.2215, 0.5847)

Summary:
Energy relative to the elements   -1.62 eV/atom

=====

The evaluated electronic total energy for the records listed, in turn: -5.70; -6.39; -5.95; -6.82; -6.43; -6.50; -5.21; -5.81 eV per atom.
The evaluated MP2020-corrected energy for the records listed, in turn: -6.42; -7.23; -7.07; -8.02; -7.25; -7.24; -5.58; -7.05 eV per atom.